{"formula": "CeAg2", "functional": "meta-GGA r2SCAN", "state": "relaxed", "lattice": [[4.8802, -3.3458, 0.0000], [4.8802, 3.3458, 0.0000], [-2.4374, 0.0000, 4.2368]], "species": ["Ce", "Ce", "Ag", "Ag", "Ag", "Ag"], "fractional_positions": [[0.2474, 0.2474, 0.4975], [0.7526, 0.7526, 0.5025], [0.1709, 0.6623, 0.1669], [0.3377, 0.8291, 0.8331], [0.6623, 0.1709, 0.1669], [0.8291, 0.3377, 0.8331]], "sg": "No. 12", "dft_energy_ev_per_cell": -148.524, "e_form_ev_per_fu": -0.71}